# 1
This record from the Materials Project database describes a relaxed structure of MoPd3. The functional is r²SCAN.

Calculated values
ΔH_f (0 K) ... -0.026 eV per atom
Space-group type ... R-3m, No. 166
E ... -95.1 eV per cell

Cell lengths 9.2025, 9.2025, 9.2025 Å; angles 17.30, 17.30, 17.30 degrees
With the nearest neighbours (Å) after each atom.
Sites, in units of the cell vectors:
Mo: 0.0000 0.0000 0.0000  6 Pd 2.73, 6 Mo 2.77
Pd: 0.2519 0.2519 0.2519  3 Mo 2.73, 9 Pd 2.77-2.82
Pd: 0.5000 0.5000 0.5000  12 Pd 2.77-2.82
Pd: 0.7481 0.7481 0.7481  3 Mo 2.73, 9 Pd 2.77-2.82

***

# 2
This record from the Materials Project database describes a relaxed structure of Ti2MoPd. The functional is r²SCAN.

Calculated values
ΔH_f (0 K) ... -0.395 eV per atom
Space-group type ... Fm-3m, No. 225
E ... -76.5 eV per cell

Cell lengths 4.4365, 4.4365, 4.4365 Å; angles 60.00, 60.00, 60.00 degrees
With the nearest neighbours (Å) after each atom.
Sites, in units of the cell vectors:
Ti: 0.2500 0.2500 0.2500  4 Mo 2.72, 4 Pd 2.72
Ti: 0.7500 0.7500 0.7500  4 Mo 2.72, 4 Pd 2.72
Mo: 0.5000 0.5000 0.5000  8 Ti 2.72
Pd: 0.0000 0.0000 0.0000  8 Ti 2.72

***

# 3
This record from the Materials Project database describes a relaxed structure of PrMo6S8. The functional is r²SCAN.

Calculated values
ΔH_f (0 K) ... -1.066 eV per atom
Space-group type ... R-3, No. 148
E ... -266.1 eV per cell

Cell lengths 6.5423, 6.5424, 6.5424 Å; angles 89.00, 89.00, 89.00 degrees
With the nearest neighbours (Å) after each atom.
Sites, in units of the cell vectors:
Pr: 0.0000 0.0000 0.0000  8 S 2.81-3.05
Mo: 0.7701 0.5802 0.4374  5 S 2.40-2.61, 2 Mo 2.65
Mo: 0.4374 0.7701 0.5802  5 S 2.40-2.61, 2 Mo 2.65
Mo: 0.5802 0.4374 0.7701  5 S 2.40-2.61, 2 Mo 2.65
Mo: 0.2299 0.4198 0.5626  5 S 2.40-2.61, 2 Mo 2.65
Mo: 0.5626 0.2299 0.4198  5 S 2.40-2.61, 2 Mo 2.65
Mo: 0.4198 0.5626 0.2299  5 S 2.40-2.61, 2 Mo 2.65
S: 0.7559 0.7559 0.7559  3 Mo 2.40
S: 0.2441 0.2441 0.2441  3 Mo 2.40
S: 0.2525 0.6244 0.8744  4 Mo 2.44-2.61
S: 0.8745 0.2525 0.6244  4 Mo 2.44-2.61
S: 0.6244 0.8744 0.2525  4 Mo 2.44-2.61
S: 0.7475 0.3756 0.1256  4 Mo 2.44-2.61
S: 0.1255 0.7475 0.3756  4 Mo 2.44-2.61
S: 0.3756 0.1256 0.7475  4 Mo 2.44-2.61

***

# 4
This record from the Materials Project database describes a relaxed structure of MoPt2. The functional is r²SCAN.

Calculated values
ΔH_f (0 K) ... -0.397 eV per atom
Space-group type ... Immm, No. 71
E ... -130.2 eV per cell

Cell lengths 2.7575, 3.9641, 4.8069 Å; angles 114.35, 106.67, 90.00 degrees
With the nearest neighbours (Å) after each atom.
Sites, in units of the cell vectors:
Mo: 0.0000 0.0000 0.0000  2 Mo 2.76, 10 Pt 2.77-2.80
Pt: 0.6633 0.6633 0.3267  7 Pt 2.72-2.81, 5 Mo 2.77-2.80
Pt: 0.3367 0.3367 0.6733  7 Pt 2.72-2.81, 5 Mo 2.77-2.80

***

# 5
This record from the Materials Project database describes a relaxed structure of Mo3Pt. The functional is r²SCAN.

Calculated values
ΔH_f (0 K) ... -0.103 eV per atom
Space-group type ... Pm-3n, No. 223
E ... -260.2 eV per cell

Cell lengths 4.9912, 4.9912, 4.9912 Å; angles 90.00, 90.00, 90.00 degrees
With the nearest neighbours (Å) after each atom.
Sites, in units of the cell vectors:
Mo: 0.2500 0.0000 0.5000  2 Mo 2.50, 4 Pt 2.79
Mo: 0.7500 0.0000 0.5000  2 Mo 2.50, 4 Pt 2.79
Mo: 0.0000 0.5000 0.2500  2 Mo 2.50, 4 Pt 2.79
Mo: 0.0000 0.5000 0.7500  2 Mo 2.50, 4 Pt 2.79
Mo: 0.5000 0.7500 0.0000  2 Mo 2.50, 4 Pt 2.79
Mo: 0.5000 0.2500 0.0000  2 Mo 2.50, 4 Pt 2.79
Pt: 0.0000 0.0000 0.0000  12 Mo 2.79
Pt: 0.5000 0.5000 0.5000  12 Mo 2.79

***

# 6
This record from the Materials Project database describes a relaxed structure of MoPt. The functional is r²SCAN.

Calculated values
ΔH_f (0 K) ... -0.358 eV per atom
Space-group type ... Pmma, No. 51
E ... -156.6 eV per cell

Cell lengths 4.4766, 2.7337, 4.9584 Å; angles 90.00, 90.00, 90.00 degrees
With the nearest neighbours (Å) after each atom.
Sites, in units of the cell vectors:
Mo: 0.2500 0.0000 0.1618  4 Mo 2.73-2.75, 8 Pt 2.76-2.84
Mo: 0.7500 0.0000 0.8382  4 Mo 2.73-2.75, 8 Pt 2.76-2.84
Pt: 0.2500 0.5000 0.6627  4 Pt 2.73-2.76, 8 Mo 2.76-2.84
Pt: 0.7500 0.5000 0.3373  4 Pt 2.73-2.76, 8 Mo 2.76-2.84

***

# 7
This record from the Materials Project database describes a relaxed structure of Si4MoPt3. The functional is r²SCAN.

Calculated values
ΔH_f (0 K) ... -0.665 eV per atom
Space-group type ... Pnma, No. 62
E ... -883.8 eV per cell

Cell lengths 3.4952, 5.5358, 24.4742 Å; angles 90.00, 90.00, 90.00 degrees
With the nearest neighbours (Å) after each atom.
Sites, in units of the cell vectors:
Si: 0.2500 0.1796 0.5193  6 Pt 2.41-2.60
Si: 0.7500 0.3204 0.0193  6 Pt 2.41-2.60
Si: 0.2500 0.6796 0.9807  6 Pt 2.41-2.60
Si: 0.7500 0.8204 0.4807  6 Pt 2.41-2.60
Si: 0.7500 0.3194 0.6457  4 Pt 2.48-2.59, 2 Mo 2.57, 2 Si 2.71
Si: 0.2500 0.1806 0.1457  4 Pt 2.48-2.59, 2 Mo 2.57, 2 Si 2.71
Si: 0.7500 0.8194 0.8543  4 Pt 2.48-2.59, 2 Mo 2.57, 2 Si 2.71
Si: 0.2500 0.6806 0.3543  4 Pt 2.48-2.59, 2 Mo 2.57, 2 Si 2.71
Si: 0.2500 0.6594 0.6098  3 Pt 2.39-2.46, 1 Mo 2.60
Si: 0.7500 0.8406 0.1098  3 Pt 2.39-2.46, 1 Mo 2.60
Si: 0.2500 0.1594 0.8902  3 Pt 2.39-2.46, 1 Mo 2.60
Si: 0.7500 0.3406 0.3902  3 Pt 2.39-2.46, 1 Mo 2.60
Si: 0.7500 0.8322 0.7257  2 Pt 2.42, 4 Mo 2.54-2.55
Si: 0.2500 0.6678 0.2257  2 Pt 2.42, 4 Mo 2.54-2.55
Si: 0.7500 0.3322 0.7743  2 Pt 2.42, 4 Mo 2.54-2.55
Si: 0.2500 0.1678 0.2743  2 Pt 2.42, 4 Mo 2.54-2.55
Mo: 0.2500 0.5042 0.7101  7 Si 2.54-2.60
Mo: 0.7500 0.9958 0.2101  7 Si 2.54-2.60
Mo: 0.2500 0.0042 0.7899  7 Si 2.54-2.60
Mo: 0.7500 0.4958 0.2899  7 Si 2.54-2.60
Pt: 0.7500 0.0033 0.5741  4 Si 2.41-2.50
Pt: 0.2500 0.4967 0.0741  4 Si 2.41-2.50
Pt: 0.7500 0.5033 0.9259  4 Si 2.41-2.50
Pt: 0.2500 0.9967 0.4259  4 Si 2.41-2.50
Pt: 0.2500 0.0025 0.6694  5 Si 2.39-2.54
Pt: 0.7500 0.4975 0.1694  5 Si 2.39-2.54
Pt: 0.2500 0.5025 0.8306  5 Si 2.39-2.54
Pt: 0.7500 0.9975 0.3306  5 Si 2.39-2.54
Pt: 0.7500 0.5033 0.5484  6 Si 2.41-2.60
Pt: 0.2500 0.9967 0.0484  6 Si 2.41-2.60
Pt: 0.7500 0.0033 0.9516  6 Si 2.41-2.60
Pt: 0.2500 0.4967 0.4516  6 Si 2.41-2.60

***

# 8
This record from the Materials Project database describes a relaxed structure of Si3MoPt2. The functional is r²SCAN.

Calculated values
ΔH_f (0 K) ... -0.653 eV per atom
Space-group type ... Pmc2_1, No. 26
E ... -318.6 eV per cell

Cell lengths 3.4915, 9.2042, 5.4984 Å; angles 90.00, 90.00, 90.00 degrees
With the nearest neighbours (Å) after each atom.
Sites, in units of the cell vectors:
Si: 0.5000 0.4348 0.1715  2 Pt 2.41, 4 Mo 2.53-2.54
Si: 0.5000 0.7781 0.1844  4 Pt 2.48-2.53, 2 Mo 2.57, 2 Si 2.70
Si: 0.0000 0.1269 0.3447  3 Pt 2.39-2.42, 1 Mo 2.61
Si: 0.5000 0.5652 0.6715  2 Pt 2.41, 4 Mo 2.53-2.54
Si: 0.5000 0.2219 0.6844  4 Pt 2.48-2.53, 2 Mo 2.57, 2 Si 2.70
Si: 0.0000 0.8731 0.8447  3 Pt 2.39-2.42, 1 Mo 2.61
Mo: 0.0000 0.6049 0.9998  7 Si 2.53-2.61
Mo: 0.0000 0.3951 0.4998  7 Si 2.53-2.61
Pt: 0.0000 0.2852 0.0007  5 Si 2.39-2.53
Pt: 0.5000 0.0293 0.0002  4 Si 2.42-2.52
Pt: 0.0000 0.7148 0.5007  5 Si 2.39-2.53
Pt: 0.5000 0.9707 0.5002  4 Si 2.42-2.52